A plane-wave DFT calculation with PBE-GGA was carried out for crystalline BiBr3 at its relaxed geometry.

Cell: 7.2907 10.2443 8.2683 Å, 90.00 108.22 90.00°
Last column: nearest neighbours and their distance in Å.
Space group P2_1/c (No. 14)
One atom of each set of equivalent atoms:
1 Bi 0.0293 0.1841 0.1649 [4 per cell]  3 Br 2.73-2.78
2 Br 0.2034 0.5593 0.6889 [4 per cell]  1 Bi 2.78
3 Br 0.2125 0.5920 0.1681 [4 per cell]  1 Bi 2.73
4 Br 0.3165 0.2492 0.9611 [4 per cell]  1 Bi 2.76


A plane-wave DFT calculation with PBE-GGA was carried out for crystalline ErSbPt at its relaxed geometry.

Cell: 6.5814 6.5814 6.5814 Å, 90.00 90.00 90.00°
Last column: nearest neighbours and their distance in Å.
Space group F-43m (No. 216)
One atom of each set of equivalent atoms:
1 Er 0.0000 0.0000 0.0000 [4 per cell]  4 Pt 2.85
2 Sb 0.0000 0.0000 0.5000 [4 per cell]  4 Pt 2.85
3 Pt 0.2500 0.2500 0.2500 [4 per cell]  4 Sb 2.85, 4 Er 2.85

Values from the calculation:
Largest piezoelectric modulus (C/m²): 0.35


The records above yield energy of formation from the pure elements values of -1.111, -1.216 eV/atom, respectively.